# MgMn3V2O10, optimized geometry, DFT PBE with a Hubbard U
# energy of formation from the pure elements: -2247 meV/atom
# energy above the lowest structure with this stoichiometry: 5 meV per atom
data_MgMn3V2O10
_space_group_name_H-M_alt 'P 1'
_space_group_IT_number 1
_cell_length_a 5.263
_cell_length_b 5.287
_cell_length_c 7.695
_cell_angle_alpha 99.55
_cell_angle_beta 109.81
_cell_angle_gamma 102.00
loop_
_space_group_symop_operation_xyz
'x,y,z'
loop_
_atom_site_label
_atom_site_type_symbol
_atom_site_fract_x
_atom_site_fract_y
_atom_site_fract_z
_atom_site_occupancy
Mg1 Mg 0.000 0.000 0.000 1
Mn1 Mn 0.286 0.528 0.417 1
Mn2 Mn 0.670 0.228 0.318 1
Mn3 Mn 0.901 0.833 0.517 1
V1 V 0.064 0.431 0.730 1
V2 V 0.514 0.647 0.096 1
O1 O 0.048 0.221 0.463 1
O2 O 0.132 0.669 0.970 1
O3 O 0.233 0.724 0.634 1
O4 O 0.320 0.313 0.188 1
O5 O 0.479 0.448 0.887 1
O6 O 0.515 0.839 0.367 1
O7 O 0.680 0.979 0.091 1
O8 O 0.702 0.459 0.560 1
O9 O 0.849 0.602 0.265 1
O10 O 0.946 0.094 0.753 1

# LiCoPO4, optimized geometry, DFT PBE with a Hubbard U
# energy of formation from the pure elements: -2341 meV/atom
# energy above the lowest structure with this stoichiometry: 67 meV per atom
data_LiCoPO4
_space_group_name_H-M_alt 'C 1 2/c 1'
_space_group_IT_number 15
_cell_length_a 8.260
_cell_length_b 5.766
_cell_length_c 15.941
_cell_angle_alpha 90.00
_cell_angle_beta 91.89
_cell_angle_gamma 90.00
loop_
_space_group_symop_operation_xyz
'x,y,z'
'-x,-y,-z'
'-x,y,-z+1/2'
'x,-y,z+1/2'
'x+1/2,y+1/2,z'
'-x+1/2,-y+1/2,-z'
'-x+1/2,y+1/2,-z+1/2'
'x+1/2,-y+1/2,z+1/2'
loop_
_atom_site_label
_atom_site_type_symbol
_atom_site_fract_x
_atom_site_fract_y
_atom_site_fract_z
_atom_site_occupancy
Li1 Li 0.225 0.025 0.257 1
Co1 Co 0.157 0.262 0.082 1
P1 P 0.014 0.236 0.871 1
O1 O 0.067 0.002 0.147 1
O2 O 0.104 0.240 0.959 1
O3 O 0.113 0.432 0.636 1
O4 O 0.154 0.264 0.809 1

# Mo6H2N2Cl14O, optimized geometry, DFT PBE with a Hubbard U
# energy of formation from the pure elements: -12 meV/atom
data_Mo6H2N2Cl14O
_space_group_name_H-M_alt 'C 1 2/c 1'
_space_group_IT_number 15
_cell_length_a 20.509
_cell_length_b 16.167
_cell_length_c 9.920
_cell_angle_alpha 90.00
_cell_angle_beta 118.64
_cell_angle_gamma 90.00
loop_
_space_group_symop_operation_xyz
'x,y,z'
'-x,-y,-z'
'-x,y,-z+1/2'
'x,-y,z+1/2'
'x+1/2,y+1/2,z'
'-x+1/2,-y+1/2,-z'
'-x+1/2,y+1/2,-z+1/2'
'x+1/2,-y+1/2,z+1/2'
loop_
_atom_site_label
_atom_site_type_symbol
_atom_site_fract_x
_atom_site_fract_y
_atom_site_fract_z
_atom_site_occupancy
Mo1 Mo 0.163 0.190 0.325 1
Mo2 Mo 0.189 0.379 0.439 1
Mo3 Mo 0.201 0.220 0.674 1
H1 H 0.019 0.012 0.699 1
N1 N 0.000 0.324 0.750 1
N2 N 0.000 0.500 0.000 1
Cl1 Cl 0.061 0.121 0.120 1
Cl2 Cl 0.091 0.278 0.432 1
Cl3 Cl 0.124 0.494 0.872 1
Cl4 Cl 0.150 0.189 0.835 1
Cl5 Cl 0.163 0.323 0.174 1
Cl6 Cl 0.185 0.082 0.535 1
Cl7 Cl 0.236 0.372 0.727 1
O1 O 0.000 0.049 0.750 1

# Fe2O3, optimized geometry, DFT PBE with a Hubbard U
# energy of formation from the pure elements: -1530 meV/atom
data_Fe2O3
_space_group_name_H-M_alt 'P n m a'
_space_group_IT_number 62
_cell_length_a 5.265
_cell_length_b 7.774
_cell_length_c 5.036
_cell_angle_alpha 90.00
_cell_angle_beta 90.00
_cell_angle_gamma 90.00
loop_
_space_group_symop_operation_xyz
'x,y,z'
'-x,-y,-z'
'-x+1/2,-y,z+1/2'
'x+1/2,y,-z+1/2'
'x+1/2,-y+1/2,-z+1/2'
'-x+1/2,y+1/2,z+1/2'
'-x,y+1/2,-z'
'x,-y+1/2,z'
loop_
_atom_site_label
_atom_site_type_symbol
_atom_site_fract_x
_atom_site_fract_y
_atom_site_fract_z
_atom_site_occupancy
Fe1 Fe 0.000 0.000 0.000 1
Fe2 Fe 0.062 0.250 0.477 1
O1 O 0.082 0.750 0.153 1
O2 O 0.184 0.579 0.681 1

# MgV4Ge4O16, optimized geometry, DFT PBE with a Hubbard U
# energy of formation from the pure elements: -2110 meV/atom
# energy above the lowest structure with this stoichiometry: 71 meV per atom
data_MgV4Ge4O16
_space_group_name_H-M_alt 'P 1 2 1'
_space_group_IT_number 3
_cell_length_a 4.607
_cell_length_b 11.377
_cell_length_c 4.851
_cell_angle_alpha 90.00
_cell_angle_beta 90.28
_cell_angle_gamma 90.00
loop_
_space_group_symop_operation_xyz
'x,y,z'
'-x,y,-z'
loop_
_atom_site_label
_atom_site_type_symbol
_atom_site_fract_x
_atom_site_fract_y
_atom_site_fract_z
_atom_site_occupancy
Mg1 Mg 0.000 0.000 0.000 1
V1 V 0.000 0.722 0.000 1
V2 V 0.000 0.852 0.500 1
V3 V 0.500 0.236 0.000 1
V4 V 0.500 0.364 0.500 1
Ge1 Ge 0.000 0.130 0.500 1
Ge2 Ge 0.000 0.471 0.000 1
Ge3 Ge 0.500 0.616 0.500 1
Ge4 Ge 0.500 0.966 0.000 1
O1 O 0.220 0.604 0.168 1
O2 O 0.229 0.989 0.671 1
O3 O 0.243 0.860 0.149 1
O4 O 0.245 0.238 0.663 1
O5 O 0.247 0.360 0.172 1
O6 O 0.255 0.731 0.668 1
O7 O 0.274 0.103 0.174 1
O8 O 0.283 0.488 0.669 1

# Li4V3P8O29, optimized geometry, DFT PBE with a Hubbard U
# energy of formation from the pure elements: -2580 meV/atom
# energy above the lowest structure with this stoichiometry: 3 meV per atom
data_Li4V3P8O29
_space_group_name_H-M_alt 'C 1 c 1'
_space_group_IT_number 9
_cell_length_a 16.868
_cell_length_b 9.756
_cell_length_c 14.283
_cell_angle_alpha 90.00
_cell_angle_beta 90.15
_cell_angle_gamma 90.00
loop_
_space_group_symop_operation_xyz
'x,y,z'
'x,-y,z+1/2'
'x+1/2,y+1/2,z'
'x+1/2,-y+1/2,z+1/2'
loop_
_atom_site_label
_atom_site_type_symbol
_atom_site_fract_x
_atom_site_fract_y
_atom_site_fract_z
_atom_site_occupancy
Li1 Li 0.000 0.006 0.000 1
Li2 Li 0.043 0.284 0.565 1
Li3 Li 0.114 0.217 0.063 1
Li4 Li 0.329 0.429 0.566 1
V1 V 0.214 0.218 0.257 1
V2 V 0.277 0.282 0.755 1
V3 V 0.495 0.064 0.258 1
P1 P 0.039 0.267 0.349 1
P2 P 0.107 0.198 0.850 1
P3 P 0.146 0.068 0.669 1
P4 P 0.160 0.497 0.137 1
P5 P 0.329 0.000 0.372 1
P6 P 0.339 0.432 0.349 1
P7 P 0.386 0.306 0.168 1
P8 P 0.453 0.237 0.668 1
O1 O 0.002 0.207 0.090 1
O2 O 0.008 0.220 0.441 1
O3 O 0.036 0.299 0.831 1
O4 O 0.038 0.426 0.335 1
O5 O 0.088 0.423 0.682 1
O6 O 0.092 0.106 0.591 1
O7 O 0.094 0.127 0.941 1
O8 O 0.100 0.086 0.767 1
O9 O 0.125 0.215 0.333 1
O10 O 0.153 0.492 0.033 1
O11 O 0.159 0.347 0.179 1
O12 O 0.167 0.088 0.166 1
O13 O 0.185 0.275 0.838 1
O14 O 0.223 0.153 0.677 1
O15 O 0.238 0.432 0.672 1
O16 O 0.256 0.077 0.324 1
O17 O 0.260 0.352 0.333 1
O18 O 0.304 0.233 0.178 1
O19 O 0.322 0.415 0.832 1
O20 O 0.329 0.014 0.474 1
O21 O 0.329 0.144 0.828 1
O22 O 0.366 0.288 0.664 1
O23 O 0.378 0.406 0.441 1
O24 O 0.392 0.406 0.089 1
O25 O 0.398 0.386 0.267 1
O26 O 0.403 0.075 0.324 1
O27 O 0.453 0.198 0.165 1
O28 O 0.455 0.079 0.679 1
O29 O 0.487 0.297 0.767 1

# MgV2Ge4O12, optimized geometry, DFT PBE with a Hubbard U
# energy of formation from the pure elements: -2159 meV/atom
# energy above the lowest structure with this stoichiometry: 152 meV per atom
data_MgV2Ge4O12
_space_group_name_H-M_alt 'P 1'
_space_group_IT_number 1
_cell_length_a 5.641
_cell_length_b 6.727
_cell_length_c 6.897
_cell_angle_alpha 82.95
_cell_angle_beta 77.53
_cell_angle_gamma 74.58
loop_
_space_group_symop_operation_xyz
'x,y,z'
loop_
_atom_site_label
_atom_site_type_symbol
_atom_site_fract_x
_atom_site_fract_y
_atom_site_fract_z
_atom_site_occupancy
Mg1 Mg 0.000 0.000 0.000 1
V1 V 0.072 0.542 0.730 1
V2 V 0.575 0.365 0.903 1
Ge1 Ge 0.082 0.078 0.580 1
Ge2 Ge 0.154 0.592 0.215 1
Ge3 Ge 0.558 0.263 0.431 1
Ge4 Ge 0.605 0.810 0.048 1
O1 O 0.059 0.506 0.459 1
O2 O 0.093 0.845 0.733 1
O3 O 0.202 0.462 0.994 1
O4 O 0.280 0.827 0.145 1
O5 O 0.391 0.069 0.450 1
O6 O 0.462 0.404 0.645 1
O7 O 0.525 0.427 0.211 1
O8 O 0.616 0.066 0.963 1
O9 O 0.704 0.625 0.863 1
O10 O 0.847 0.776 0.184 1
O11 O 0.883 0.130 0.399 1
O12 O 0.981 0.248 0.785 1

# SrCrO4, optimized geometry, DFT PBE with a Hubbard U
# energy of formation from the pure elements: -1820 meV/atom
data_SrCrO4
_space_group_name_H-M_alt 'P 1 21/c 1'
_space_group_IT_number 14
_cell_length_a 7.429
_cell_length_b 7.912
_cell_length_c 7.314
_cell_angle_alpha 90.00
_cell_angle_beta 94.63
_cell_angle_gamma 90.00
loop_
_space_group_symop_operation_xyz
'x,y,z'
'-x,-y,-z'
'-x,y+1/2,-z+1/2'
'x,-y+1/2,z+1/2'
loop_
_atom_site_label
_atom_site_type_symbol
_atom_site_fract_x
_atom_site_fract_y
_atom_site_fract_z
_atom_site_occupancy
Sr1 Sr 0.132 0.058 0.276 1
Cr1 Cr 0.320 0.546 0.249 1
O1 O 0.166 0.548 0.445 1
O2 O 0.171 0.602 0.060 1
O3 O 0.179 0.125 0.862 1
O4 O 0.460 0.087 0.261 1